w) Entry from Materials Project: a relaxed structure of CaB2O6 (PBE-GGA).

Output
theoretical density: 2.36 g cm⁻³
total magnetization: 16.00 μB per cell

Unit cell a=9.650 b=10.245 c=4.509 alpha=90.00 beta=94.11 gamma=90.00
Space group C2/c (No. 15)
Asymmetric unit:
Ca  0.000  0.224  0.250 (multiplicity 4)
B  0.197  0.067  0.823 (multiplicity 8)
O  0.133  0.187  0.708 (multiplicity 8)
O  0.157  0.043  0.126 (multiplicity 8)
O  0.160  0.394  0.178 (multiplicity 8)

***

x) Entry from Materials Project: a relaxed structure of CaB2O6 (PBE-GGA).

Output
theoretical density: 2.47 g cm⁻³
total magnetization: 31.99 μB per cell

Unit cell a=6.897 b=12.527 c=11.366 alpha=90.00 beta=120.11 gamma=90.00
Space group P2_1/c (No. 14)
Asymmetric unit:
Ca  0.074  0.242  0.261 (multiplicity 4)
Ca  0.412  0.094  0.641 (multiplicity 4)
B  0.078  0.514  0.839 (multiplicity 4)
B  0.182  0.696  0.582 (multiplicity 4)
B  0.351  0.653  0.016 (multiplicity 4)
B  0.466  0.666  0.266 (multiplicity 4)
O  0.031  0.160  0.940 (multiplicity 4)
O  0.035  0.045  0.216 (multiplicity 4)
O  0.084  0.086  0.410 (multiplicity 4)
O  0.122  0.074  0.699 (multiplicity 4)
O  0.182  0.736  0.980 (multiplicity 4)
O  0.284  0.574  0.907 (multiplicity 4)
O  0.284  0.747  0.723 (multiplicity 4)
O  0.316  0.600  0.620 (multiplicity 4)
O  0.326  0.224  0.172 (multiplicity 4)
O  0.421  0.599  0.148 (multiplicity 4)
O  0.431  0.198  0.452 (multiplicity 4)
O  0.452  0.608  0.370 (multiplicity 4)

***

Relative energies, meV/atom: w) 0; x) 21.

***

w) Entry from Materials Project: a relaxed structure of CdB2O4 (PBE-GGA).

Output
theoretical density: 4.73 g cm⁻³
total magnetization: 0.00 μB per cell

Unit cell a=11.350 b=6.461 c=11.373 alpha=90.00 beta=90.00 gamma=90.00
Space group Pna2_1 (No. 33)
Asymmetric unit:
Cd  0.032  0.154  0.000 (multiplicity 4)
Cd  0.073  0.549  0.230 (multiplicity 4)
Cd  0.247  0.114  0.458 (multiplicity 4)
B  0.026  0.375  0.482 (multiplicity 4)
B  0.037  0.020  0.253 (multiplicity 4)
B  0.138  0.749  0.695 (multiplicity 4)
B  0.177  0.096  0.790 (multiplicity 4)
B  0.212  0.617  0.492 (multiplicity 4)
B  0.249  0.420  0.684 (multiplicity 4)
O  0.004  0.797  0.703 (multiplicity 4)
O  0.041  0.135  0.783 (multiplicity 4)
O  0.053  0.172  0.477 (multiplicity 4)
O  0.075  0.537  0.030 (multiplicity 4)
O  0.105  0.523  0.430 (multiplicity 4)
O  0.142  0.529  0.720 (multiplicity 4)
O  0.155  0.988  0.266 (multiplicity 4)
O  0.170  0.790  0.568 (multiplicity 4)
O  0.198  0.873  0.784 (multiplicity 4)
O  0.208  0.197  0.903 (multiplicity 4)
O  0.221  0.963  0.060 (multiplicity 4)
O  0.239  0.194  0.693 (multiplicity 4)

***

x) Entry from Materials Project: a relaxed structure of CdB2O4 (PBE-GGA).

Output
theoretical density: 5.19 g cm⁻³
maximum piezoelectric response: 0.8 C/m2
total magnetization: 0.00 μB per cell

Unit cell a=8.9726 b=8.9726 c=7.2726 alpha=90.00 beta=90.00 gamma=120.00
Space group P6_3 (No. 173)
Asymmetric unit:
Cd  0.0000  0.0000  0.0000 (multiplicity 2)
Cd  0.0457  0.5245  0.4807 (multiplicity 6)
B  0.1516  0.8227  0.7835 (multiplicity 6)
B  0.1522  0.8249  0.1688 (multiplicity 6)
B  0.3333  0.6667  0.1884 (multiplicity 2)
B  0.3333  0.6667  0.8044 (multiplicity 2)
O  0.0028  0.8160  0.2656 (multiplicity 6)
O  0.0045  0.7076  0.6598 (multiplicity 6)
O  0.0919  0.7625  0.9755 (multiplicity 6)
O  0.1924  0.4965  0.7323 (multiplicity 6)
O  0.2059  0.7127  0.2657 (multiplicity 6)
O  0.3333  0.6667  0.9974 (multiplicity 2)

***

y) Entry from Materials Project: a relaxed structure of CdB2O4 (PBE-GGA).

Output
theoretical density: 4.25 g cm⁻³
total magnetization: 0.00 μB per cell

Unit cell a=11.6617 b=11.6617 c=11.8234 alpha=90.00 beta=90.00 gamma=120.00
Space group R3c (No. 161, hexagonal axes)
Asymmetric unit:
Cd  0.0215  0.3396  0.0000 (multiplicity 18)
B  0.0227  0.1324  0.5270 (multiplicity 18)
B  0.0455  0.1399  0.7878 (multiplicity 18)
O  0.0498  0.2577  0.5197 (multiplicity 18)
O  0.0633  0.4933  0.4569 (multiplicity 18)
O  0.1277  0.0211  0.0275 (multiplicity 18)
O  0.1345  0.0445  0.2872 (multiplicity 18)

***

Relative energies, meV/atom: w) 0; x) 6; y) 65.

***

w) Entry from Materials Project: a relaxed structure of CeMg6BO8 (PBE-GGA).

Output
theoretical density: 3.94 g cm⁻³
total magnetization: 0.97 μB per cell

Unit cell a=4.388 b=4.388 c=9.287 alpha=90.00 beta=90.00 gamma=90.00
Space group P4/mmm (No. 123)
Asymmetric unit:
Ce  0.000  0.000  0.000 (multiplicity 1)
Mg  0.000  0.000  0.500 (multiplicity 1)
Mg  0.000  0.500  0.273 (multiplicity 4)
Mg  0.500  0.500  0.500 (multiplicity 1)
B  0.500  0.500  0.000 (multiplicity 1)
O  0.000  0.000  0.267 (multiplicity 2)
O  0.000  0.500  0.000 (multiplicity 2)
O  0.000  0.500  0.500 (multiplicity 2)
O  0.500  0.500  0.281 (multiplicity 2)

***

x) Entry from Materials Project: a relaxed structure of CeMg6BO8 (PBE-GGA).

Output
theoretical density: 3.87 g cm⁻³
total magnetization: 0.75 μB per cell

Unit cell a=4.464 b=4.464 c=9.147 alpha=90.00 beta=90.00 gamma=90.00
Space group P4/mmm (No. 123)
Asymmetric unit:
Ce  0.000  0.000  0.000 (multiplicity 1)
Mg  0.000  0.500  0.281 (multiplicity 4)
Mg  0.500  0.500  0.000 (multiplicity 1)
Mg  0.500  0.500  0.500 (multiplicity 1)
B  0.000  0.000  0.500 (multiplicity 1)
O  0.000  0.000  0.250 (multiplicity 2)
O  0.000  0.500  0.000 (multiplicity 2)
O  0.000  0.500  0.500 (multiplicity 2)
O  0.500  0.500  0.256 (multiplicity 2)

***

Relative energies, meV/atom: w) 0; x) 76.